# Cr21Mo2C6

A geometry-optimized Cr21Mo2C6 structure (PBE-GGA, the Materials Project).

Properties
E_form in eV/atom: -0.09
Calculated volume in A^3/atom: 10.395
Symmetry: No. 225
Crystal system: cubic

a = 7.5264 Å, b = 7.5264 Å, c = 7.5264 Å
α = 60.00°, β = 60.00°, γ = 60.00°
With the nearest neighbours (Å) after each atom.
Positions (direct):
Cr 0.0000 0.0000 0.0000  12 Cr 2.54
Cr 0.6160 0.6160 0.1521  3 C 2.09
Cr 0.6160 0.1521 0.6160  3 C 2.09
Cr 0.1521 0.6160 0.6160  3 C 2.09
Cr 0.6160 0.6160 0.6160  3 C 2.09
Cr 0.3840 0.3840 0.8479  3 C 2.09
Cr 0.3840 0.8479 0.3840  3 C 2.09
Cr 0.8479 0.3840 0.3840  3 C 2.09
Cr 0.3840 0.3840 0.3840  3 C 2.09
Cr 0.0000 0.0000 0.3376  2 C 2.13
Cr 0.6624 0.0000 0.3376  2 C 2.13
Cr 0.0000 0.6624 0.3376  2 C 2.13
Cr 0.6624 0.3376 0.0000  2 C 2.13
Cr 0.0000 0.3376 0.0000  2 C 2.13
Cr 0.0000 0.3376 0.6624  2 C 2.13
Cr 0.3376 0.6624 0.0000  2 C 2.13
Cr 0.3376 0.0000 0.6624  2 C 2.13
Cr 0.3376 0.0000 0.0000  2 C 2.13
Cr 0.0000 0.0000 0.6624  2 C 2.13
Cr 0.0000 0.6624 0.0000  2 C 2.13
Cr 0.6624 0.0000 0.0000  2 C 2.13
Mo 0.7500 0.7500 0.7500  4 Cr 2.47
Mo 0.2500 0.2500 0.2500  4 Cr 2.47
C 0.7240 0.7240 0.2760  8 Cr 2.09-2.13
C 0.2760 0.7240 0.2760  8 Cr 2.09-2.13
C 0.7240 0.2760 0.2760  8 Cr 2.09-2.13
C 0.2760 0.2760 0.7240  8 Cr 2.09-2.13
C 0.7240 0.2760 0.7240  8 Cr 2.09-2.13
C 0.2760 0.7240 0.7240  8 Cr 2.09-2.13